(1)
Material: Na3P2H4O7
Method: DFT, PBE
State: relaxed

Calculated values
- Formation energy: -1.961 eV per atom

Cell lengths 6.072, 6.253, 11.511 Å; angles 99.35, 95.49, 117.60 degrees
Fractional coordinates of all 32 atoms:
Na 0.926 0.827 0.120
Na 0.074 0.173 0.880
Na 0.727 0.696 0.413
Na 0.273 0.304 0.587
Na 0.329 0.493 0.144
Na 0.671 0.507 0.856
P 0.656 0.166 0.071
P 0.344 0.834 0.929
P 0.596 0.077 0.250
P 0.404 0.923 0.750
H 0.216 0.807 0.513
H 0.784 0.193 0.487
H 0.240 0.900 0.389
H 0.760 0.100 0.611
H 0.267 0.243 0.330
H 0.733 0.757 0.670
H 0.101 0.376 0.358
H 0.899 0.624 0.642
O 0.628 0.393 0.059
O 0.372 0.607 0.941
O 0.668 0.871 0.248
O 0.332 0.129 0.752
O 0.913 0.184 0.057
O 0.087 0.816 0.943
O 0.311 0.982 0.251
O 0.689 0.018 0.749
O 0.771 0.318 0.345
O 0.229 0.682 0.655
O 0.174 0.903 0.464
O 0.826 0.097 0.536
O 0.278 0.405 0.364
O 0.722 0.595 0.636



(2)
Material: PrAg2Ge2
Method: DFT, PBE
State: relaxed

Calculated values
- Formation energy: -0.433 eV per atom

Cell lengths 6.368, 6.368, 6.368 Å; angles 140.18, 140.18, 57.58 degrees
Fractional coordinates of all 5 atoms:
Pr 0.000 0.000 0.000
Ag 0.750 0.250 0.500
Ag 0.250 0.750 0.500
Ge 0.611 0.611 0.000
Ge 0.389 0.389 0.000



(3)
Material: Na3Nd9B8O27
Method: DFT, PBE
State: relaxed

Calculated values
- Formation energy: -3.340 eV per atom

Cell lengths 8.831, 8.831, 8.542 Å; angles 90.00, 90.00, 120.00 degrees
Fractional coordinates of all 47 atoms:
Na 0.336 0.000 0.000
Na 0.000 0.336 0.000
Na 0.664 0.664 0.000
Nd 0.652 0.000 0.235
Nd 0.000 0.652 0.235
Nd 0.652 0.000 0.765
Nd 0.000 0.652 0.765
Nd 0.348 0.348 0.235
Nd 0.348 0.348 0.765
Nd 0.282 0.000 0.500
Nd 0.000 0.282 0.500
Nd 0.718 0.718 0.500
B 0.000 0.000 0.210
B 0.000 0.000 0.790
B 0.333 0.667 0.000
B 0.667 0.333 0.000
B 0.333 0.667 0.324
B 0.333 0.667 0.676
B 0.667 0.333 0.676
B 0.667 0.333 0.324
O 0.178 0.512 0.317
O 0.488 0.666 0.317
O 0.178 0.512 0.683
O 0.512 0.178 0.683
O 0.334 0.822 0.317
O 0.488 0.666 0.683
O 0.666 0.488 0.683
O 0.512 0.178 0.317
O 0.334 0.822 0.683
O 0.666 0.488 0.317
O 0.822 0.334 0.683
O 0.822 0.334 0.317
O 0.322 0.503 0.000
O 0.497 0.819 0.000
O 0.503 0.322 0.000
O 0.181 0.678 0.000
O 0.819 0.497 0.000
O 0.678 0.181 0.000
O 0.743 0.000 0.500
O 0.000 0.743 0.500
O 0.257 0.257 0.500
O 0.157 0.000 0.212
O 0.000 0.157 0.212
O 0.157 0.000 0.788
O 0.000 0.157 0.788
O 0.843 0.843 0.212
O 0.843 0.843 0.788



(4)
Material: Li5Ti12O24
Method: DFT, PBE
State: relaxed

Calculated values
- Energy above the lowest structure with this stoichiometry: 0.000 eV per atom
- Formation energy: -3.268 eV per atom

Cell lengths 5.993, 5.993, 53.867 Å; angles 59.96, 59.96, 59.99 degrees
Fractional coordinates of all 123 atoms:
Li 0.124 0.124 0.014
Li 0.126 0.126 0.125
Li 0.125 0.125 0.347
Li 0.125 0.125 0.458
Li 0.874 0.874 0.209
Li 0.125 0.125 0.569
Li 0.876 0.876 0.319
Li 0.125 0.125 0.681
Li 0.875 0.875 0.431
Li 0.125 0.125 0.792
Li 0.875 0.875 0.542
Li 0.875 0.875 0.653
Li 0.875 0.875 0.764
Li 0.874 0.874 0.875
Li 0.876 0.876 0.986
Ti 0.996 0.500 0.056
Ti 0.500 0.500 0.000
Ti 0.500 0.996 0.056
Ti 0.000 0.500 0.167
Ti 0.500 0.500 0.056
Ti 0.502 0.502 0.111
Ti 0.500 0.000 0.167
Ti 0.004 0.500 0.277
Ti 0.500 0.500 0.167
Ti 0.498 0.498 0.223
Ti 0.500 0.004 0.277
Ti 0.500 0.500 0.277
Ti 0.000 0.500 0.389
Ti 0.502 0.502 0.333
Ti 0.500 0.000 0.389
Ti 0.500 0.500 0.389
Ti 0.000 0.500 0.500
Ti 0.500 0.500 0.444
Ti 0.500 0.000 0.500
Ti 0.500 0.500 0.500
Ti 0.500 0.500 0.556
Ti 0.500 0.000 0.611
Ti 0.500 0.500 0.611
Ti 0.000 0.500 0.722
Ti 0.500 0.500 0.667
Ti 0.500 0.000 0.722
Ti 0.000 0.500 0.611
Ti 0.500 0.500 0.722
Ti 0.000 0.498 0.834
Ti 0.499 0.499 0.778
Ti 0.498 0.000 0.834
Ti 0.498 0.498 0.834
Ti 0.498 0.498 0.890
Ti 0.500 0.004 0.944
Ti 0.500 0.500 0.944
Ti 0.004 0.500 0.944
O 0.264 0.264 0.029
O 0.263 0.263 0.079
O 0.264 0.710 0.029
O 0.710 0.264 0.029
O 0.263 0.263 0.140
O 0.297 0.735 0.081
O 0.267 0.267 0.189
O 0.735 0.297 0.081
O 0.262 0.712 0.140
O 0.738 0.738 0.032
O 0.735 0.735 0.081
O 0.712 0.262 0.140
O 0.265 0.265 0.252
O 0.288 0.738 0.193
O 0.738 0.288 0.193
O 0.262 0.262 0.302
O 0.265 0.703 0.252
O 0.733 0.733 0.145
O 0.737 0.737 0.193
O 0.703 0.265 0.252
O 0.263 0.263 0.363
O 0.289 0.736 0.304
O 0.262 0.262 0.413
O 0.736 0.289 0.304
O 0.263 0.712 0.363
O 0.737 0.737 0.254
O 0.736 0.736 0.304
O 0.712 0.263 0.363
O 0.262 0.262 0.474
O 0.288 0.737 0.415
O 0.262 0.262 0.524
O 0.737 0.288 0.415
O 0.263 0.712 0.474
O 0.737 0.737 0.365
O 0.738 0.738 0.415
O 0.712 0.263 0.474
O 0.262 0.262 0.585
O 0.287 0.738 0.526
O 0.262 0.262 0.635
O 0.262 0.713 0.585
O 0.738 0.287 0.526
O 0.738 0.738 0.476
O 0.713 0.262 0.585
O 0.738 0.738 0.526
O 0.262 0.262 0.696
O 0.288 0.738 0.637
O 0.738 0.288 0.637
O 0.263 0.263 0.746
O 0.263 0.712 0.696
O 0.738 0.738 0.587
O 0.738 0.738 0.637
O 0.712 0.263 0.696
O 0.263 0.263 0.807
O 0.288 0.737 0.749
O 0.267 0.267 0.856
O 0.737 0.288 0.749
O 0.263 0.713 0.807
O 0.738 0.738 0.699
O 0.738 0.738 0.749
O 0.713 0.263 0.807
O 0.265 0.265 0.919
O 0.289 0.738 0.859
O 0.265 0.703 0.919
O 0.738 0.289 0.859
O 0.262 0.262 0.968
O 0.737 0.737 0.810
O 0.703 0.265 0.919
O 0.738 0.738 0.859
O 0.290 0.736 0.971
O 0.736 0.290 0.971
O 0.737 0.737 0.921
O 0.736 0.736 0.971